Model a:
VASP calculation (PBE with a Hubbard U) on MgCo5P8O28 after structural relaxation.

a = 7.324 Å, b = 7.922 Å, c = 10.210 Å
α = 107.44°, β = 86.22°, γ = 94.68°
Fractional positions:
O 0.127 0.411 0.721
O 0.997 0.765 0.052
O 0.926 0.784 0.822
O 0.989 0.214 0.953
O 0.384 0.111 0.640
O 0.900 0.552 0.248
O 0.702 0.627 0.954
O 0.257 0.000 0.242
O 0.306 0.780 0.405
O 0.987 0.132 0.402
O 0.650 0.356 0.094
O 0.332 0.621 0.900
O 0.475 0.435 0.678
O 0.696 0.975 0.776
O 0.415 0.707 0.152
O 0.291 0.358 0.037
O 0.716 0.215 0.591
O 0.695 0.311 0.322
O 0.248 0.024 0.980
O 0.745 0.964 0.036
O 0.008 0.966 0.656
O 0.621 0.902 0.338
O 0.589 0.289 0.838
O 0.554 0.576 0.313
O 0.778 0.691 0.586
O 0.076 0.224 0.190
O 0.295 0.689 0.680
O 0.283 0.315 0.404
Co 0.262 0.872 0.601
Co 0.243 0.831 0.064
Co 0.493 0.495 0.994
Co 0.721 0.127 0.383
Co 0.734 0.151 0.946
P 0.164 0.173 0.315
P 0.155 0.202 0.035
P 0.845 0.847 0.697
P 0.720 0.453 0.244
P 0.837 0.788 0.969
P 0.537 0.251 0.686
P 0.292 0.542 0.742
P 0.467 0.750 0.306
Mg 0.997 0.200 0.613

Density ... 2.99 g cm⁻³

Model b:
VASP calculation (PBE with a Hubbard U) on MgCo5P8O28 after structural relaxation.

a = 7.477 Å, b = 7.890 Å, c = 10.217 Å
α = 108.82°, β = 89.00°, γ = 93.61°
Fractional positions:
Co 0.251 0.843 0.060
Co 0.749 0.157 0.940
Co 0.500 0.500 0.000
Co 0.240 0.871 0.603
Co 0.760 0.129 0.397
Mg 0.500 0.500 0.500
O 0.708 0.971 0.769
O 0.450 0.413 0.677
O 0.708 0.660 0.594
O 0.992 0.866 0.637
O 0.334 0.816 0.419
O 0.768 0.977 0.035
O 0.987 0.232 0.949
O 0.550 0.587 0.323
O 0.292 0.340 0.406
O 0.666 0.184 0.581
O 0.298 0.354 0.000
O 0.013 0.768 0.051
O 0.118 0.263 0.180
O 0.643 0.350 0.103
O 0.882 0.737 0.820
O 0.680 0.333 0.349
O 0.232 0.023 0.965
O 0.605 0.297 0.842
O 0.891 0.553 0.264
O 0.702 0.646 0.000
O 0.634 0.903 0.319
O 0.109 0.447 0.736
O 0.357 0.650 0.897
O 0.292 0.029 0.231
O 0.366 0.097 0.681
O 0.320 0.667 0.651
O 0.008 0.134 0.363
O 0.395 0.703 0.158
P 0.283 0.548 0.746
P 0.524 0.231 0.693
P 0.838 0.788 0.980
P 0.819 0.807 0.695
P 0.181 0.193 0.305
P 0.476 0.769 0.307
P 0.717 0.452 0.254
P 0.162 0.212 0.020

Density ... 2.96 g cm⁻³

Energies relative to the most stable structure are model a 0.012; model b 0.000, reported in eV/atom.

Model a:
VASP calculation (PBE with a Hubbard U) on MgCo4P12O36 after structural relaxation.

a = 8.588 Å, b = 8.624 Å, c = 8.871 Å
α = 90.56°, β = 89.64°, γ = 90.77°
Fractional positions:
O 0.095 0.401 0.308
O 0.151 0.461 0.758
O 0.776 0.869 0.436
O 0.094 0.884 0.903
O 0.839 0.338 0.104
O 0.947 0.284 0.845
O 0.824 0.588 0.366
O 0.293 0.917 0.589
O 0.127 0.805 0.389
O 0.580 0.631 0.083
O 0.430 0.139 0.411
O 0.350 0.530 0.245
O 0.403 0.376 0.626
O 0.860 0.697 0.876
O 0.549 0.696 0.364
O 0.657 0.324 0.360
O 0.219 0.078 0.160
O 0.475 0.236 0.148
O 0.600 0.081 0.674
O 0.136 0.186 0.648
O 0.403 0.604 0.816
O 0.686 0.425 0.865
O 0.603 0.870 0.877
O 0.268 0.624 0.560
O 0.855 0.964 0.754
O 0.353 0.141 0.903
O 0.367 0.818 0.187
O 0.906 0.127 0.382
O 0.675 0.668 0.614
O 0.713 0.139 0.934
O 0.107 0.606 0.097
O 0.228 0.350 0.056
O 0.902 0.913 0.175
O 0.031 0.765 0.652
O 0.655 0.046 0.251
O 0.927 0.386 0.579
Co 0.114 0.833 0.120
Co 0.631 0.645 0.855
Co 0.373 0.145 0.668
Co 0.881 0.362 0.362
P 0.314 0.187 0.060
P 0.467 0.674 0.204
P 0.961 0.824 0.812
P 0.181 0.785 0.550
P 0.039 0.321 0.693
P 0.183 0.479 0.179
P 0.321 0.510 0.695
P 0.681 0.011 0.805
P 0.792 0.311 0.945
P 0.825 0.990 0.307
P 0.714 0.691 0.452
P 0.555 0.193 0.303
Mg 0.289 0.975 0.349

Density ... 3.05 g cm⁻³

Model b:
VASP calculation (PBE with a Hubbard U) on MgCo4P12O36 after structural relaxation.

a = 8.594 Å, b = 8.621 Å, c = 8.953 Å
α = 89.14°, β = 91.89°, γ = 89.31°
Fractional positions:
P 0.972 0.824 0.808
P 0.200 0.819 0.553
P 0.813 0.299 0.952
P 0.165 0.493 0.215
P 0.032 0.318 0.690
P 0.311 0.508 0.672
P 0.686 0.013 0.811
P 0.447 0.668 0.200
P 0.541 0.177 0.315
P 0.711 0.686 0.435
P 0.822 0.986 0.306
P 0.289 0.205 0.068
O 0.049 0.792 0.650
O 0.552 0.721 0.338
O 0.899 0.366 0.585
O 0.335 0.542 0.279
O 0.349 0.214 0.910
O 0.140 0.466 0.729
O 0.855 0.966 0.752
O 0.643 0.309 0.365
O 0.353 0.806 0.144
O 0.611 0.874 0.881
O 0.694 0.410 0.876
O 0.405 0.568 0.807
O 0.214 0.378 0.082
O 0.736 0.130 0.945
O 0.384 0.372 0.598
O 0.667 0.655 0.591
O 0.859 0.326 0.111
O 0.314 0.921 0.637
O 0.595 0.102 0.691
O 0.898 0.123 0.381
O 0.151 0.851 0.394
O 0.789 0.857 0.431
O 0.090 0.401 0.337
O 0.134 0.183 0.650
O 0.419 0.116 0.413
O 0.081 0.628 0.142
O 0.901 0.915 0.176
O 0.278 0.645 0.557
O 0.542 0.581 0.090
O 0.192 0.085 0.134
O 0.456 0.236 0.159
O 0.878 0.685 0.848
O 0.091 0.880 0.921
O 0.647 0.038 0.252
O 0.813 0.574 0.353
O 0.965 0.287 0.854
Co 0.647 0.655 0.815
Co 0.125 0.857 0.149
Co 0.869 0.349 0.363
Co 0.367 0.142 0.629
Mg 0.483 0.409 0.957

Density ... 3.03 g cm⁻³

Model c:
VASP calculation (PBE with a Hubbard U) on MgCo4P12O36 after structural relaxation.

a = 8.488 Å, b = 8.577 Å, c = 8.732 Å
α = 88.86°, β = 89.52°, γ = 90.11°
Fractional positions:
P 0.702 0.692 0.449
P 0.531 0.182 0.307
P 0.817 0.984 0.311
P 0.207 0.817 0.564
P 0.797 0.305 0.944
P 0.298 0.195 0.052
P 0.321 0.515 0.682
P 0.031 0.326 0.681
P 0.686 0.012 0.806
P 0.186 0.477 0.195
P 0.966 0.818 0.815
P 0.466 0.676 0.190
O 0.092 0.615 0.145
O 0.643 0.038 0.262
O 0.146 0.464 0.737
O 0.862 0.965 0.757
O 0.116 0.372 0.320
O 0.905 0.383 0.575
O 0.313 0.919 0.654
O 0.860 0.685 0.865
O 0.777 0.866 0.449
O 0.159 0.879 0.407
O 0.395 0.130 0.410
O 0.359 0.527 0.248
O 0.401 0.379 0.612
O 0.092 0.871 0.922
O 0.544 0.721 0.350
O 0.280 0.645 0.550
O 0.718 0.133 0.941
O 0.192 0.091 0.152
O 0.629 0.314 0.360
O 0.813 0.592 0.361
O 0.957 0.276 0.844
O 0.046 0.775 0.655
O 0.590 0.622 0.080
O 0.610 0.094 0.673
O 0.358 0.807 0.144
O 0.654 0.658 0.611
O 0.908 0.122 0.375
O 0.400 0.594 0.815
O 0.461 0.222 0.141
O 0.334 0.155 0.892
O 0.896 0.903 0.180
O 0.225 0.369 0.051
O 0.689 0.417 0.860
O 0.132 0.194 0.619
O 0.603 0.870 0.875
O 0.846 0.332 0.105
Co 0.858 0.367 0.347
Co 0.629 0.642 0.851
Co 0.129 0.850 0.144
Co 0.379 0.146 0.662
Mg 0.151 0.132 0.386

Density ... 3.16 g cm⁻³

Energies relative to the most stable structure are model a 0.047; model b 0.042; model c 0.000, reported in eV/atom.

Model a:
VASP calculation (PBE with a Hubbard U) on RbMg6CoO8 after structural relaxation.

a = 9.056 Å, b = 4.417 Å, c = 4.417 Å
α = 90.00°, β = 90.00°, γ = 90.00°
Fractional positions:
Co 0.000 0.000 0.000
Mg 0.267 0.000 0.500
Mg 0.267 0.500 0.000
Mg 0.733 0.000 0.500
Mg 0.500 0.500 0.500
Mg 0.733 0.500 0.000
Mg 0.500 0.000 0.000
O 0.500 0.000 0.500
O 0.000 0.500 0.000
O 0.254 0.000 0.000
O 0.000 0.000 0.500
O 0.720 0.500 0.500
O 0.280 0.500 0.500
O 0.500 0.500 0.000
O 0.746 0.000 0.000
Rb 0.000 0.500 0.500

Density ... 3.93 g cm⁻³

Model b:
VASP calculation (PBE with a Hubbard U) on RbMg6CoO8 after structural relaxation.

a = 8.666 Å, b = 4.571 Å, c = 4.571 Å
α = 90.00°, β = 90.00°, γ = 90.00°
Fractional positions:
Co 0.000 0.000 0.000
Rb 0.500 0.000 0.000
O 0.786 0.000 0.000
O 0.752 0.500 0.500
O 0.214 0.000 0.000
O 0.500 0.500 0.000
O 0.000 0.500 0.000
O 0.500 0.000 0.500
O 0.000 0.000 0.500
O 0.248 0.500 0.500
Mg 0.758 0.500 0.000
Mg 0.758 0.000 0.500
Mg 0.500 0.500 0.500
Mg 0.242 0.500 0.000
Mg 0.242 0.000 0.500
Mg 0.000 0.500 0.500

Density ... 3.84 g cm⁻³

Energies relative to the most stable structure are model a 0.000; model b 0.013, reported in eV/atom.

Model a:
VASP calculation (PBE with a Hubbard U) on MgCo4Sb2O12 after structural relaxation.

a = 5.198 Å, b = 5.271 Å, c = 10.194 Å
α = 90.52°, β = 90.75°, γ = 59.01°
Fractional positions:
Co 0.664 0.671 0.005
Co 0.666 0.171 0.502
Co 0.326 0.342 0.004
Co 0.340 0.826 0.472
Mg 0.506 0.649 0.749
O 0.996 0.164 0.596
O 0.000 0.343 0.096
O 0.977 0.845 0.408
O 0.666 0.805 0.613
O 0.350 0.676 0.103
O 0.339 0.962 0.892
O 0.348 0.498 0.602
O 0.997 0.658 0.908
O 0.349 0.178 0.405
O 0.672 0.516 0.392
O 0.647 0.008 0.091
O 0.656 0.356 0.904
Sb 0.001 0.001 0.007
Sb 0.000 0.500 0.503

Density ... 4.82 g cm⁻³

Model b:
VASP calculation (PBE with a Hubbard U) on MgCo4Sb2O12 after structural relaxation.

a = 5.194 Å, b = 5.145 Å, c = 10.011 Å
α = 98.35°, β = 94.61°, γ = 61.33°
Fractional positions:
Co 0.333 0.348 0.991
Co 0.664 0.687 0.001
Co 0.321 0.815 0.518
Co 0.652 0.160 0.502
O 0.325 0.001 0.895
O 0.648 0.061 0.098
O 0.972 0.183 0.597
O 0.329 0.144 0.396
O 0.658 0.861 0.594
O 0.661 0.339 0.904
O 0.301 0.540 0.614
O 0.044 0.362 0.107
O 0.020 0.755 0.384
O 0.996 0.646 0.904
O 0.645 0.450 0.398
O 0.339 0.691 0.103
Mg 0.337 0.423 0.251
Sb 0.005 0.018 0.997
Sb 0.987 0.491 0.503

Density ... 4.97 g cm⁻³

Model c:
VASP calculation (PBE with a Hubbard U) on MgCo4Sb2O12 after structural relaxation.

a = 5.288 Å, b = 5.190 Å, c = 10.439 Å
α = 90.57°, β = 90.28°, γ = 60.61°
Fractional positions:
Co 0.337 0.342 0.983
Co 0.334 0.834 0.504
Co 0.663 0.679 0.983
Co 0.666 0.168 0.504
O 0.331 0.526 0.602
O 0.000 0.144 0.593
O 0.000 0.343 0.096
O 0.669 0.327 0.901
O 0.301 0.668 0.102
O 0.000 0.798 0.394
O 0.335 0.165 0.416
O 0.665 0.500 0.416
O 0.669 0.857 0.602
O 0.000 0.672 0.895
O 0.699 0.969 0.102
O 0.331 0.997 0.901
Sb 0.000 0.006 0.995
Sb 0.000 0.504 0.520
Mg 0.000 0.641 0.224

Density ... 4.63 g cm⁻³

Energies relative to the most stable structure are model a 0.021; model b 0.000; model c 0.090, reported in eV/atom.